Material: LiHoO2
Method: DFT, PBE
State: optimized geometry

CIF file:
```
data_LiHoO2
_chemical_formula_sum 'Li4 Ho4 O8'
_symmetry_space_group_name_H-M 'P 1'
_symmetry_Int_Tables_number 1
_cell_length_a 6.1579
_cell_length_b 6.2071
_cell_length_c 6.2839
_cell_angle_alpha 60.46
_cell_angle_beta 90.00
_cell_angle_gamma 90.00
loop_
_symmetry_equiv_pos_as_xyz
'x,y,z'
loop_
_atom_site_label
_atom_site_fract_x
_atom_site_fract_y
_atom_site_fract_z
O1 0.6706 0.0091 0.6560
O2 0.8908 0.5473 0.7647
O3 0.8294 0.0091 0.1560
O4 0.1706 0.9909 0.8440
O5 0.1092 0.4527 0.2353
O6 0.3908 0.4527 0.7353
Li1 0.3454 0.7091 0.0634
O7 0.6092 0.5473 0.2647
Ho1 0.1303 0.2333 0.0215
Li2 0.8454 0.2909 0.4366
O8 0.3294 0.9909 0.3440
Ho2 0.3697 0.2333 0.5215
Ho3 0.6303 0.7667 0.4785
Li3 0.6546 0.2909 0.9366
Li4 0.1546 0.7091 0.5634
Ho4 0.8697 0.7667 0.9785
```

Results
Calculated formation energy ... -3303 meV per atom
Calculated density ... 6.48 g cm⁻³
Crystal system ... monoclinic